# 1
Density functional theory data (GGA-PBE) for a geometry-optimized Cu6As4S9 structure.

a b c (Å): 9.1366 9.1434 9.8985
angles (deg): 107.74 90.08 109.43
Positions (direct):
Cu 0.0588 0.2796 0.3980
Cu 0.5815 0.7618 0.4067
Cu 0.6599 0.0755 0.1946
Cu 0.5109 0.6050 0.9857
Cu 0.3335 0.0322 0.3890
Cu 0.9642 0.9635 0.6030
Cu 0.1045 0.4108 0.7938
Cu 0.1697 0.5576 0.1827
Cu 0.9387 0.8337 0.1912
Cu 0.7555 0.3662 0.9866
Cu 0.6096 0.9117 0.7978
Cu 0.2047 0.7218 0.6025
S 0.7716 0.6271 0.9989
S 0.5107 0.8624 0.9996
S 0.5760 0.0089 0.3963
S 0.6703 0.3298 0.1961
S 0.3125 0.2791 0.4004
S 0.4552 0.7122 0.5964
S 0.1195 0.6708 0.8069
S 0.0041 0.3566 0.9934
S 0.3583 0.4145 0.7829
S 0.4251 0.5734 0.1978
S 0.8342 0.7764 0.3889
S 0.1821 0.8174 0.1948
S 0.9125 0.0754 0.1952
S 0.0669 0.5319 0.3920
S 0.2214 0.9743 0.5870
S 0.9567 0.2094 0.5920
S 0.6148 0.1602 0.7850
S 0.8648 0.9227 0.8053
As 0.8527 0.6545 0.7914
As 0.8229 0.5390 0.4214
As 0.7174 0.2348 0.5767
As 0.2769 0.9026 0.0099
As 0.3520 0.1542 0.7956
As 0.4089 0.3181 0.1802
As 0.0441 0.1303 0.0123
As 0.4987 0.4828 0.5902

Calculated values
Total energy = -168.5 eV for the cell shown
Crystal system = triclinic
Density = 4.364 Mg/m³
E (MP2020) = -4.673 eV/atom
ΔE_f = -438 meV per atom

# 2
Density functional theory data (GGA-PBE) for a geometry-optimized K3Re structure.

a b c (Å): 6.2460 6.2460 6.2460
angles (deg): 60.00 60.00 60.00
Positions (direct):
K 0.7500 0.7500 0.7500
K 0.2500 0.2500 0.2500
K 0.5000 0.5000 0.5000
Re 0.0000 0.0000 0.0000

Calculated values
Total energy = -9.8 eV for the cell shown
Crystal system = cubic
Density = 2.925 Mg/m³
M_tot = 3.825 μB/f.u.
ΔE_f = 1503 meV per atom

# 3
Density functional theory data (GGA-PBE) for a geometry-optimized MnNiP2 structure.

a b c (Å): 3.2080 5.1783 5.7212
angles (deg): 90.00 90.00 90.00
Positions (direct):
P 0.0000 0.1914 0.1677
P 0.0000 0.6914 0.8323
P 0.5000 0.3147 0.6835
P 0.5000 0.8147 0.3165
Ni 0.0000 0.9981 0.5496
Ni 0.0000 0.4981 0.4504
Mn 0.5000 0.9957 0.9413
Mn 0.5000 0.4957 0.0587

Calculated values
Total energy = -55.8 eV for the cell shown
Crystal system = orthorhombic
Density = 6.135 Mg/m³
ΔE_f = -527 meV per atom